Entry from Materials Project: PrSbPt after structural relaxation (r²SCAN).

Unit cell a=4.5406 b=4.5365 c=8.3786 alpha=90.00 beta=90.00 gamma=120.03
Closest atoms and distances in Å follow each position.
Sites, in units of the cell vectors:
Pr (0.9998, 0.9995, 0.2495)  6 Pt 3.18-3.54, 6 Sb 3.31-3.40
Pr (0.0002, 0.0005, 0.7495)  6 Pt 3.18-3.54, 6 Sb 3.31-3.40
Sb (0.6664, 0.3328, 0.9912)  3 Pt 2.64
Pt (0.3327, 0.6654, 0.0334)  3 Sb 2.64
Pt (0.6673, 0.3346, 0.5334)  3 Sb 2.64
Sb (0.3336, 0.6672, 0.4912)  3 Pt 2.64

---

Entry from Materials Project: PrSnPt after structural relaxation (r²SCAN).

Unit cell a=7.6454 b=7.6454 c=4.1581 alpha=90.00 beta=90.00 gamma=120.00
Closest atoms and distances in Å follow each position.
Sites, in units of the cell vectors:
Pt (0.0000, 0.0000, 0.0000)  6 Sn 2.83, 3 Pr 3.14
Pt (0.6667, 0.3333, 0.5000)  3 Sn 2.91, 6 Pr 3.11
Sn (0.7484, 0.0000, 0.5000)  4 Pt 2.83-2.91
Pr (0.4105, 0.0000, 0.0000)  5 Pt 3.11-3.14, 6 Sn 3.32-3.44
Pr (0.5895, 0.5895, 0.0000)  5 Pt 3.11-3.14, 6 Sn 3.32-3.44
Sn (0.0000, 0.7484, 0.5000)  4 Pt 2.83-2.91
Pr (0.0000, 0.4105, 0.0000)  5 Pt 3.11-3.14, 6 Sn 3.32-3.44
Pt (0.3333, 0.6667, 0.5000)  3 Sn 2.91, 6 Pr 3.11
Sn (0.2516, 0.2516, 0.5000)  4 Pt 2.83-2.91

---

Entry from Materials Project: PrSnPt after structural relaxation (r²SCAN).

Unit cell a=4.6503 b=7.5292 c=8.0778 alpha=90.00 beta=90.00 gamma=90.00
Closest atoms and distances in Å follow each position.
Sites, in units of the cell vectors:
Sn (0.7500, 0.3238, 0.5838)  4 Pt 2.73-2.89
Sn (0.7500, 0.8238, 0.9162)  4 Pt 2.73-2.89
Sn (0.2500, 0.6762, 0.4162)  4 Pt 2.73-2.89
Pt (0.2500, 0.2923, 0.4089)  4 Sn 2.73-2.89
Pr (0.7500, 0.9864, 0.3051)  5 Pt 3.12-3.38, 6 Sn 3.26-3.42
Pt (0.7500, 0.2077, 0.9089)  4 Sn 2.73-2.89
Pr (0.7500, 0.4864, 0.1949)  5 Pt 3.12-3.38, 6 Sn 3.26-3.42
Pr (0.2500, 0.0136, 0.6949)  5 Pt 3.12-3.38, 6 Sn 3.26-3.42
Pr (0.2500, 0.5136, 0.8051)  5 Pt 3.12-3.38, 6 Sn 3.26-3.42
Pt (0.7500, 0.7077, 0.5911)  4 Sn 2.73-2.89
Pt (0.2500, 0.7923, 0.0911)  4 Sn 2.73-2.89
Sn (0.2500, 0.1762, 0.0838)  4 Pt 2.73-2.89

---

Entry from Materials Project: PrRh2 after structural relaxation (r²SCAN).

Unit cell a=5.4022 b=5.4022 c=5.4022 alpha=60.00 beta=60.00 gamma=60.00
Closest atoms and distances in Å follow each position.
Sites, in units of the cell vectors:
Rh (0.5000, 0.5000, 0.5000)  6 Rh 2.70
Pr (0.8750, 0.8750, 0.8750)  12 Rh 3.17, 4 Pr 3.31
Pr (0.1250, 0.1250, 0.1250)  12 Rh 3.17, 4 Pr 3.31
Rh (0.0000, 0.5000, 0.5000)  6 Rh 2.70
Rh (0.5000, 0.5000, 0.0000)  6 Rh 2.70
Rh (0.5000, 0.0000, 0.5000)  6 Rh 2.70

---

Entry from Materials Project: Pr3Rh2 after structural relaxation (r²SCAN).

Unit cell a=7.6430 b=7.6431 c=7.6431 alpha=71.47 beta=71.47 gamma=71.47
Closest atoms and distances in Å follow each position.
Sites, in units of the cell vectors:
Rh (0.9572, 0.5899, 0.1610)  7 Pr 2.91-3.15, 1 Rh 2.99
Pr (0.6678, 0.3894, 0.1626)  4 Rh 2.91-3.15
Rh (0.0428, 0.4101, 0.8390)  7 Pr 2.91-3.15, 1 Rh 2.99
Rh (0.8390, 0.0428, 0.4101)  7 Pr 2.91-3.15, 1 Rh 2.99
Rh (0.5899, 0.1610, 0.9572)  7 Pr 2.91-3.15, 1 Rh 2.99
Pr (0.6106, 0.8374, 0.3322)  4 Rh 2.91-3.15
Pr (0.3322, 0.6106, 0.8374)  4 Rh 2.91-3.15
Rh (0.1610, 0.9572, 0.5899)  7 Pr 2.91-3.15, 1 Rh 2.99
Pr (0.0000, 0.0000, 0.0000)  6 Rh 3.06
Pr (0.7962, 0.7962, 0.7962)  6 Rh 2.93-3.15
Rh (0.4101, 0.8390, 0.0428)  7 Pr 2.91-3.15, 1 Rh 2.99
Pr (0.3894, 0.1626, 0.6678)  4 Rh 2.91-3.15
Pr (0.2038, 0.2038, 0.2038)  6 Rh 2.93-3.15
Pr (0.1626, 0.6678, 0.3894)  4 Rh 2.91-3.15
Pr (0.8374, 0.3322, 0.6106)  4 Rh 2.91-3.15

---

Entry from Materials Project: PrSi2Rh after structural relaxation (r²SCAN).

Unit cell a=8.6745 b=8.6745 c=4.1856 alpha=90.00 beta=90.00 gamma=151.33
Closest atoms and distances in Å follow each position.
Sites, in units of the cell vectors:
Rh (0.6804, 0.3196, 0.7500)  5 Si 2.36-2.44
Si (0.5403, 0.4597, 0.7500)  1 Rh 2.36, 2 Si 2.49
Pr (0.8940, 0.1060, 0.7500)  10 Si 3.19-3.27, 4 Rh 3.25
Si (0.4597, 0.5403, 0.2500)  1 Rh 2.36, 2 Si 2.49
Rh (0.3196, 0.6804, 0.2500)  5 Si 2.36-2.44
Si (0.2494, 0.7506, 0.7500)  4 Rh 2.40-2.44
Si (0.7506, 0.2494, 0.2500)  4 Rh 2.40-2.44
Pr (0.1060, 0.8940, 0.2500)  10 Si 3.19-3.27, 4 Rh 3.25

---

Entry from Materials Project: Pr2SiRh3 after structural relaxation (r²SCAN).

Unit cell a=5.1294 b=5.1294 c=5.1294 alpha=67.16 beta=67.16 gamma=67.16
Closest atoms and distances in Å follow each position.
Sites, in units of the cell vectors:
Rh (0.0000, 0.0000, 0.5000)  2 Si 2.56, 4 Rh 2.84
Rh (0.0000, 0.5000, 0.0000)  2 Si 2.56, 4 Rh 2.84
Si (0.0000, 0.0000, 0.0000)  6 Rh 2.56
Rh (0.5000, 0.0000, 0.0000)  2 Si 2.56, 4 Rh 2.84
Pr (0.3707, 0.3707, 0.3707)  9 Rh 2.92-3.22, 1 Pr 3.06
Pr (0.6293, 0.6293, 0.6293)  9 Rh 2.92-3.22, 1 Pr 3.06

---

Entry from Materials Project: PrSnRh after structural relaxation (r²SCAN).

Unit cell a=7.4705 b=7.4705 c=4.2021 alpha=90.00 beta=90.00 gamma=120.00
Closest atoms and distances in Å follow each position.
Sites, in units of the cell vectors:
Sn (0.7521, 0.0000, 0.5000)  4 Rh 2.80-2.86
Rh (0.0000, 0.0000, 0.0000)  6 Sn 2.80, 3 Pr 3.10
Pr (0.0000, 0.4146, 0.0000)  5 Rh 3.08-3.10, 6 Sn 3.28-3.42
Rh (0.6667, 0.3333, 0.5000)  3 Sn 2.86, 6 Pr 3.08
Rh (0.3333, 0.6667, 0.5000)  3 Sn 2.86, 6 Pr 3.08
Sn (0.2479, 0.2479, 0.5000)  4 Rh 2.80-2.86
Sn (0.0000, 0.7521, 0.5000)  4 Rh 2.80-2.86
Pr (0.5854, 0.5854, 0.0000)  5 Rh 3.08-3.10, 6 Sn 3.28-3.42
Pr (0.4146, 0.0000, 0.0000)  5 Rh 3.08-3.10, 6 Sn 3.28-3.42

---

Entry from Materials Project: Pr3Ru after structural relaxation (r²SCAN).

Unit cell a=6.5576 b=7.4128 c=9.9201 alpha=90.00 beta=90.00 gamma=90.00
Closest atoms and distances in Å follow each position.
Sites, in units of the cell vectors:
Pr (0.1738, 0.1734, 0.0694)  2 Ru 2.89-3.00
Ru (0.9509, 0.1128, 0.7500)  6 Pr 2.83-3.00
Pr (0.3262, 0.6734, 0.4306)  2 Ru 2.89-3.00
Pr (0.1738, 0.1734, 0.4306)  2 Ru 2.89-3.00
Pr (0.3262, 0.6734, 0.0694)  2 Ru 2.89-3.00
Ru (0.5491, 0.6128, 0.7500)  6 Pr 2.83-3.00
Ru (0.0491, 0.8872, 0.2500)  6 Pr 2.83-3.00
Pr (0.1460, 0.4536, 0.7500)  2 Ru 2.83-2.90
Pr (0.3540, 0.9536, 0.7500)  2 Ru 2.83-2.90
Ru (0.4509, 0.3872, 0.2500)  6 Pr 2.83-3.00
Pr (0.6460, 0.0464, 0.2500)  2 Ru 2.83-2.90
Pr (0.8540, 0.5464, 0.2500)  2 Ru 2.83-2.90
Pr (0.6738, 0.3266, 0.5694)  2 Ru 2.89-3.00
Pr (0.6738, 0.3266, 0.9306)  2 Ru 2.89-3.00
Pr (0.8262, 0.8266, 0.5694)  2 Ru 2.89-3.00
Pr (0.8262, 0.8266, 0.9306)  2 Ru 2.89-3.00

---

Entry from Materials Project: PrRu2 after structural relaxation (r²SCAN).

Unit cell a=5.4209 b=5.4209 c=5.4209 alpha=60.00 beta=60.00 gamma=60.00
Closest atoms and distances in Å follow each position.
Sites, in units of the cell vectors:
Ru (0.5000, 0.5000, 0.0000)  6 Ru 2.71
Ru (0.5000, 0.0000, 0.5000)  6 Ru 2.71
Ru (0.0000, 0.5000, 0.5000)  6 Ru 2.71
Ru (0.5000, 0.5000, 0.5000)  6 Ru 2.71
Pr (0.1250, 0.1250, 0.1250)  12 Ru 3.18, 4 Pr 3.32
Pr (0.8750, 0.8750, 0.8750)  12 Ru 3.18, 4 Pr 3.32

---

Entry from Materials Project: PrSi2Ru after structural relaxation (r²SCAN).

Unit cell a=4.0954 b=4.4985 c=8.3223 alpha=102.27 beta=90.00 gamma=90.00
Closest atoms and distances in Å follow each position.
Sites, in units of the cell vectors:
Si (0.2500, 0.0381, 0.0926)  1 Ru 2.41, 2 Si 2.54
Pr (0.7500, 0.5902, 0.2016)  9 Si 3.01-3.32, 2 Ru 3.27
Si (0.7500, 0.3310, 0.5067)  4 Ru 2.37-2.44, 2 Si 2.57
Ru (0.2500, 0.1196, 0.3883)  5 Si 2.37-2.44
Pr (0.2500, 0.4098, 0.7984)  9 Si 3.01-3.32, 2 Ru 3.27
Ru (0.7500, 0.8804, 0.6117)  5 Si 2.37-2.44
Si (0.2500, 0.6690, 0.4933)  4 Ru 2.37-2.44, 2 Si 2.57
Si (0.7500, 0.9619, 0.9074)  1 Ru 2.41, 2 Si 2.54

---

Entry from Materials Project: Pr3Sn13Ru4 after structural relaxation (r²SCAN).

Unit cell a=9.8019 b=9.8019 c=9.8021 alpha=90.00 beta=90.00 gamma=90.00
Closest atoms and distances in Å follow each position.
Sites, in units of the cell vectors:
Ru (0.7500, 0.2500, 0.2500)  6 Sn 2.67
Pr (0.5000, 0.2500, 0.0001)  12 Sn 3.42-3.49, 4 Ru 3.46-3.47
Sn (0.6544, 0.5000, 0.7999)  2 Ru 2.67
Sn (0.1545, 0.7001, 0.0000)  2 Ru 2.67
Ru (0.2500, 0.7500, 0.7500)  6 Sn 2.67
Sn (0.5000, 0.2001, 0.6545)  2 Ru 2.67
Pr (0.0000, 0.5000, 0.2500)  12 Sn 3.42-3.49, 4 Ru 3.47
Ru (0.2500, 0.2500, 0.7500)  6 Sn 2.67
Pr (0.0000, 0.5000, 0.7500)  12 Sn 3.42-3.48, 4 Ru 3.47
Ru (0.2500, 0.7500, 0.2500)  6 Sn 2.67
Ru (0.7500, 0.7500, 0.2500)  6 Sn 2.67
Sn (0.0000, 0.1545, 0.7001)  2 Ru 2.67
Pr (0.7500, 0.0000, 0.4999)  12 Sn 3.42-3.49, 4 Ru 3.46-3.47
Sn (0.7001, 0.0000, 0.8455)  2 Ru 2.67
Sn (0.5000, 0.5000, 0.5000)  12 Sn 3.31
Sn (0.2999, 0.0000, 0.1544)  2 Ru 2.67
Sn (0.0000, 0.0000, 0.0000)  12 Sn 3.31
Sn (0.7001, 0.0000, 0.1544)  2 Ru 2.67
Sn (0.0000, 0.1545, 0.2999)  2 Ru 2.67
Ru (0.7500, 0.2500, 0.7500)  6 Sn 2.67
Sn (0.1545, 0.2999, 0.0000)  2 Ru 2.67
Pr (0.2500, 0.0000, 0.4999)  12 Sn 3.42-3.49, 4 Ru 3.46-3.47
Sn (0.7999, 0.6545, 0.5000)  2 Ru 2.67
Sn (0.7999, 0.3455, 0.5000)  2 Ru 2.67
Sn (0.5000, 0.7999, 0.3456)  2 Ru 2.67
Sn (0.2001, 0.6545, 0.5000)  2 Ru 2.67
Ru (0.2500, 0.2500, 0.2500)  6 Sn 2.67
Ru (0.7500, 0.7500, 0.7500)  6 Sn 2.67
Sn (0.6545, 0.5000, 0.2001)  2 Ru 2.67
Sn (0.5000, 0.7999, 0.6545)  2 Ru 2.67
Sn (0.5000, 0.2001, 0.3456)  2 Ru 2.67
Sn (0.8455, 0.2999, 0.0000)  2 Ru 2.67
Sn (0.3455, 0.5000, 0.2001)  2 Ru 2.67
Sn (0.0000, 0.8455, 0.2999)  2 Ru 2.67
Sn (0.8455, 0.7001, 0.0000)  2 Ru 2.67
Pr (0.5000, 0.7500, 0.0001)  12 Sn 3.42-3.49, 4 Ru 3.46-3.47
Sn (0.2999, 0.0000, 0.8455)  2 Ru 2.67
Sn (0.0000, 0.8455, 0.7001)  2 Ru 2.67
Sn (0.2001, 0.3455, 0.5000)  2 Ru 2.67
Sn (0.3455, 0.5000, 0.7999)  2 Ru 2.67

---

Calculated values (meV per atom) of calculated formation energy for the records, taken in order: -1264; -1125; -1128; -682; -616; -979; -870; -892; -164; -92; -877; -426.